Record 1
The following is a DFT calculation (PBE) of La20C20Cl13 after structural relaxation.

* total energy: -6.85 eV/atom
* formation energy: -1202 meV per atom

Lattice parameters (Å, degrees): 7.8218 43.1794 6.9497 90.00 104.24 90.00
Closest atoms and distances in Å follow each position.
Space group P2_1/c (No. 14)
Asymmetric unit:
La  0.0841  0.0774  0.1266 (multiplicity 4)  6 C 2.64-2.84
La  0.0900  0.1210  0.6279 (multiplicity 4)  6 C 2.65-2.87
La  0.1429  0.7283  0.6070 (multiplicity 4)  6 C 2.65-2.86, 1 Cl 2.95
La  0.1548  0.0273  0.6237 (multiplicity 4)  3 C 2.45-2.70
La  0.1643  0.1718  0.1373 (multiplicity 4)  2 C 2.42-2.70
La  0.2165  0.6772  0.1147 (multiplicity 4)  3 C 2.44-2.72
La  0.2242  0.5200  0.6184 (multiplicity 4)  2 C 2.43-2.65
La  0.2382  0.2200  0.6241 (multiplicity 4)  4 C 2.46-2.74
La  0.2915  0.6302  0.6006 (multiplicity 4)  4 C 2.46-2.73
La  0.2944  0.5700  0.1084 (multiplicity 4)  3 C 2.43-2.69
C  0.0204  0.0151  0.2197 (multiplicity 4)  1 C 1.36
C  0.0197  0.7145  0.2128 (multiplicity 4)  1 C 1.36
C  0.0322  0.6350  0.2645 (multiplicity 4)  1 C 1.36
C  0.0332  0.1838  0.7326 (multiplicity 4)  1 C 1.34
C  0.0430  0.5638  0.7690 (multiplicity 4)  1 C 1.35
C  0.0842  0.6657  0.7103 (multiplicity 4)  1 C 1.34
C  0.0876  0.2363  0.2384 (multiplicity 4)  1 C 1.36
C  0.0940  0.5342  0.2203 (multiplicity 4)  1 C 1.36
C  0.1414  0.6132  0.2172 (multiplicity 4)  1 C 1.36
C  0.1464  0.5860  0.7178 (multiplicity 4)  1 C 1.35
Cl  0.3577  0.0795  0.5237 (multiplicity 4)  4 La 2.93-3.11
Cl  0.3578  0.1174  0.0262 (multiplicity 4)  4 La 2.97-3.13
Cl  0.4098  0.7309  0.0040 (multiplicity 4)  4 La 2.95-3.13
Cl  0.4147  0.0381  0.0227 (multiplicity 4)  5 La 3.04-3.32
Cl  0.4220  0.1574  0.5236 (multiplicity 4)  5 La 3.00-3.31
Cl  0.4767  0.6917  0.4999 (multiplicity 4)  5 La 3.00-3.29
Cl  0.5000  0.0000  0.5000 (multiplicity 2)  4 La 3.10-3.25

---

Record 2
The following is a DFT calculation (PBE) of Sm2MgBi2O8 after structural relaxation.

* total energy: -6.57 eV/atom
* relative energy among the computed polymorphs: 0.000 eV per atom
* formation energy: -2504 meV per atom

Lattice parameters (Å, degrees): 5.6042 5.7757 7.0453 109.65 108.90 100.50
Closest atoms and distances in Å follow each position.
Space group P1 (No. 1)
Asymmetric unit:
Sm  0.0000  0.0000  0.0000 (multiplicity 1)  4 O 2.29-2.43
Sm  0.2561  0.7549  0.5116 (multiplicity 1)  4 O 2.31-2.41
Mg  0.9495  0.4497  0.8996 (multiplicity 1)  6 O 2.10-2.19
Bi  0.5493  0.5492  0.0992 (multiplicity 1)  6 O 2.10-2.22
Bi  0.7155  0.2145  0.4302 (multiplicity 1)  4 O 2.26-2.36
O  0.0210  0.6054  0.6858 (multiplicity 1)  1 Mg 2.10, 1 Bi 2.26, 1 Sm 2.31
O  0.2102  0.2311  0.8581 (multiplicity 1)  1 Bi 2.10, 1 Mg 2.12, 1 Sm 2.29
O  0.2934  0.7872  0.1575 (multiplicity 1)  1 Mg 2.19, 1 Bi 2.20, 1 Sm 2.43
O  0.4070  0.4225  0.3195 (multiplicity 1)  2 Bi 2.22-2.36, 1 Sm 2.41
O  0.6476  0.6273  0.8582 (multiplicity 1)  1 Bi 2.10, 1 Mg 2.12, 1 Sm 2.29
O  0.6653  0.0793  0.6863 (multiplicity 1)  1 Mg 2.10, 1 Bi 2.27, 1 Sm 2.31
O  0.8636  0.3693  0.1577 (multiplicity 1)  1 Mg 2.19, 1 Bi 2.20, 1 Sm 2.43
O  0.9125  0.8956  0.3200 (multiplicity 1)  2 Bi 2.22-2.36, 1 Sm 2.41

---

Record 3
The following is a DFT calculation (PBE) of Ho2Zr2O7 after structural relaxation.

* total energy: -8.96 eV/atom
* formation energy: -3866 meV per atom

Lattice parameters (Å, degrees): 7.8600 5.5154 13.7888 90.00 98.45 90.00
Closest atoms and distances in Å follow each position.
Space group P2_1 (No. 4)
Asymmetric unit:
Ho  0.1374  0.0000  0.0590 (multiplicity 2)  5 O 2.22-2.34
Ho  0.2365  0.4484  0.4269 (multiplicity 2)  6 O 2.23-2.46
Ho  0.2868  0.9120  0.6341 (multiplicity 2)  7 O 2.26-2.51
Ho  0.3620  0.4279  0.8991 (multiplicity 2)  5 O 2.26-2.48
Zr  0.0274  0.4327  0.6181 (multiplicity 2)  5 O 2.01-2.17
Zr  0.0745  0.9360  0.8196 (multiplicity 2)  6 O 2.03-2.18
Zr  0.4105  0.4473  0.1732 (multiplicity 2)  5 O 2.00-2.22
Zr  0.4682  0.9341  0.3759 (multiplicity 2)  5 O 2.01-2.17
O  0.0032  0.5873  0.3265 (multiplicity 2)  2 Zr 2.08-2.18, 1 Ho 2.26
O  0.0767  0.7211  0.5219 (multiplicity 2)  2 Zr 2.14-2.30, 1 Ho 2.34
O  0.0781  0.2244  0.9176 (multiplicity 2)  1 Zr 2.08, 2 Ho 2.30-2.33
O  0.1400  0.6364  0.7300 (multiplicity 2)  2 Zr 2.01-2.17
O  0.1523  0.7145  0.9353 (multiplicity 2)  1 Zr 2.03
O  0.1700  0.3030  0.1755 (multiplicity 2)  2 Zr 2.06-2.07
O  0.2218  0.0554  0.3837 (multiplicity 2)  2 Zr 2.07, 1 Ho 2.25
O  0.2711  0.3013  0.5828 (multiplicity 2)  2 Zr 2.17, 2 Ho 2.26-2.28
O  0.3238  0.0761  0.7984 (multiplicity 2)  2 Zr 2.17-2.19, 2 Ho 2.38-2.42
O  0.3654  0.7819  0.1205 (multiplicity 2)  1 Zr 2.00, 1 Ho 2.22
O  0.4155  0.5827  0.3273 (multiplicity 2)  2 Zr 2.07-2.25, 1 Ho 2.23
O  0.4202  0.2450  0.0466 (multiplicity 2)  1 Zr 2.08, 1 Ho 2.26
O  0.4374  0.7167  0.5231 (multiplicity 2)  2 Zr 2.15-2.40, 1 Ho 2.33
O  0.4734  0.6438  0.7335 (multiplicity 2)  2 Zr 2.01-2.22